1.
The following is a PBE+U calculation of a relaxed Na3MnO4 crystal, from the Materials Project database.

a = 5.6531 Å, b = 7.1497 Å, c = 12.2397 Å
α = 90.00°, β = 90.00°, γ = 90.00°
Fractional positions:
Na 0.7029 0.4992 0.6629
Na 0.2971 0.5008 0.3371
Na 0.2029 0.5008 0.8371
Na 0.2971 0.9992 0.3371
Na 0.7971 0.4992 0.1629
Na 0.7029 0.0008 0.6629
Na 0.7971 0.0008 0.1629
Na 0.2029 0.9992 0.8371
Na 0.2875 0.7500 0.5739
Na 0.7125 0.2500 0.4261
Na 0.7875 0.2500 0.9261
Na 0.2125 0.7500 0.0739
Mn 0.6944 0.7500 0.9114
Mn 0.3056 0.2500 0.0886
Mn 0.1944 0.2500 0.5886
Mn 0.8056 0.7500 0.4114
O 0.3895 0.7500 0.9091
O 0.6105 0.2500 0.0909
O 0.8895 0.2500 0.5909
O 0.1105 0.7500 0.4091
O 0.7920 0.9485 0.8445
O 0.2080 0.0515 0.1555
O 0.2920 0.0515 0.6555
O 0.2080 0.4485 0.1555
O 0.7080 0.9485 0.3445
O 0.7920 0.5515 0.8445
O 0.7080 0.5515 0.3445
O 0.2920 0.4485 0.6555
O 0.7066 0.7500 0.5448
O 0.2934 0.2500 0.4552
O 0.2066 0.2500 0.9552
O 0.7934 0.7500 0.0448

Values from the calculation:
formation enthalpy at 0 K	-1796.4	meV per atom
final energy	-5.36	eV per atom
mass density	2.52	Mg/m³

2.
The following is a PBE+U calculation of a relaxed Pr2Mo15O28 crystal, from the Materials Project database.

a = 8.2320 Å, b = 8.2887 Å, c = 9.4165 Å
α = 89.51°, β = 89.09°, γ = 80.29°
Fractional positions:
Pr 0.9390 0.9770 0.4970
Pr 0.4588 0.4519 0.0029
Mo 0.0150 0.8233 0.8539
Mo 0.0959 0.2449 0.1487
Mo 0.2435 0.1052 0.8519
Mo 0.2349 0.8733 0.1319
Mo 0.3098 0.5129 0.3747
Mo 0.3729 0.7226 0.6321
Mo 0.4568 0.1181 0.3740
Mo 0.5074 0.3381 0.6454
Mo 0.5973 0.7416 0.3588
Mo 0.7159 0.3658 0.3630
Mo 0.6221 0.9548 0.8642
Mo 0.7753 0.5914 0.6467
Mo 0.8305 0.0100 0.1415
Mo 0.8721 0.2399 0.8769
Mo 0.9564 0.6228 0.1328
O 0.0143 0.8385 0.2454
O 0.0567 0.2135 0.7405
O 0.1193 0.4579 0.2562
O 0.1940 0.6934 0.4960
O 0.1639 0.6893 0.0076
O 0.2584 0.0607 0.2532
O 0.1922 0.8991 0.7243
O 0.3216 0.3165 0.4970
O 0.2757 0.2804 0.9889
O 0.3679 0.5346 0.7627
O 0.4000 0.6823 0.2321
O 0.4557 0.1286 0.7498
O 0.3877 0.9210 0.9713
O 0.4422 0.8903 0.4848
O 0.4903 0.3424 0.2504
O 0.5927 0.7493 0.7352
O 0.6787 0.1650 0.9879
O 0.6615 0.1741 0.4972
O 0.6266 0.9504 0.2511
O 0.6955 0.4128 0.7837
O 0.7455 0.5768 0.2434
O 0.8436 0.0041 0.7547
O 0.8160 0.8120 0.9964
O 0.7853 0.7681 0.4949
O 0.9025 0.1784 0.2890
O 0.8628 0.4328 0.5224
O 0.9225 0.3994 0.0179
O 0.9606 0.6463 0.7459

Values from the calculation:
formation enthalpy at 0 K	-1874.1	meV per atom
final energy	-7.29	eV per atom
mass density	5.69	Mg/m³

3.
The following is a PBE+U calculation of a relaxed Ba2LiV2Si4O14 crystal, from the Materials Project database.

a = 5.5382 Å, b = 7.2900 Å, c = 8.2106 Å
α = 90.01°, β = 111.04°, γ = 89.99°
Fractional positions:
Ba 0.8146 0.7500 0.6007
Ba 0.2199 0.2500 0.4043
Li 0.3376 0.7501 0.0122
V 0.1027 0.7499 0.2221
V 0.9203 0.2500 0.7887
Si 0.4204 0.5222 0.7905
Si 0.6188 0.4741 0.2138
Si 0.4204 0.9778 0.7904
Si 0.6189 0.0259 0.2138
O 0.1302 0.4354 0.7080
O 0.4116 0.5585 0.2907
O 0.1302 0.0646 0.7080
O 0.4117 0.9415 0.2906
O 0.5169 0.5181 0.0032
O 0.5170 0.9820 0.0032
O 0.0016 0.7500 0.9863
O 0.0275 0.2500 0.0019
O 0.3820 0.7500 0.7402
O 0.6378 0.2500 0.2515
O 0.6225 0.4367 0.7089
O 0.9080 0.5537 0.3085
O 0.6225 0.0632 0.7088
O 0.9081 0.9463 0.3085

Values from the calculation:
formation enthalpy at 0 K	-2986.9	meV per atom
final energy	-7.42	eV per atom
mass density	3.86	Mg/m³
energy above the most stable polymorph in this dataset	1.01	eV per formula unit

4.
The following is a PBE+U calculation of a relaxed TiV3O8 crystal, from the Materials Project database.

a = 3.7920 Å, b = 7.8015 Å, c = 10.3472 Å
α = 89.27°, β = 100.57°, γ = 75.94°
Fractional positions:
Ti 0.3120 0.3332 0.9496
Ti 0.3055 0.8326 0.4498
V 0.6458 0.5510 0.7546
V 0.7001 0.1612 0.5634
V 0.7015 0.6619 0.0631
V 0.5580 0.0517 0.2549
V 0.4029 0.4505 0.2511
V 0.3974 0.9504 0.7514
O 0.8591 0.9926 0.7136
O 0.8614 0.4934 0.2135
O 0.7594 0.9115 0.4343
O 0.7634 0.4122 0.9337
O 0.6320 0.3617 0.6319
O 0.6355 0.8634 0.1293
O 0.5557 0.2578 0.3682
O 0.5567 0.7577 0.8681
O 0.4438 0.2403 0.1240
O 0.4367 0.7393 0.6238
O 0.3625 0.1386 0.8642
O 0.3638 0.6384 0.3641
O 0.2431 0.5831 0.0672
O 0.2412 0.0829 0.5677
O 0.1326 0.5174 0.7792
O 0.1299 0.0173 0.2794

Values from the calculation:
formation enthalpy at 0 K	-2710.3	meV per atom
final energy	-8.05	eV per atom
mass density	3.75	Mg/m³
energy above the most stable polymorph in this dataset	0.01	eV per formula unit

5.
The following is a PBE+U calculation of a relaxed SrTbNdCoO6 crystal, from the Materials Project database.

a = 5.6971 Å, b = 5.6971 Å, c = 5.6971 Å
α = 60.00°, β = 60.00°, γ = 60.00°
Fractional positions:
Sr 0.7500 0.7500 0.7500
Tb 0.5000 0.5000 0.5000
Nd 0.2500 0.2500 0.2500
Co 0.0000 0.0000 0.0000
O 0.7695 0.2305 0.2305
O 0.2305 0.7695 0.7695
O 0.7695 0.2305 0.7695
O 0.2305 0.7695 0.2305
O 0.7695 0.7695 0.2305
O 0.2305 0.2305 0.7695

Values from the calculation:
formation enthalpy at 0 K	-2732.3	meV per atom
final energy	-6.95	eV per atom
mass density	6.93	Mg/m³

6.
The following is a PBE+U calculation of a relaxed FeBiO3 crystal, from the Materials Project database.

a = 3.9444 Å, b = 3.9444 Å, c = 7.8920 Å
α = 90.00°, β = 90.00°, γ = 90.03°
Fractional positions:
Fe 0.4977 0.4977 0.2500
Fe 0.5023 0.5023 0.7500
Bi 0.0000 0.0000 0.5000
Bi 0.0000 0.0000 0.0000
O 0.4922 0.9969 0.2500
O 0.5000 0.5000 0.5000
O 0.5000 0.5000 0.0000
O 0.5078 0.0031 0.7500
O 0.0031 0.5078 0.7500
O 0.9969 0.4922 0.2500

Values from the calculation:
formation enthalpy at 0 K	-1419.1	meV per atom
final energy	-6.00	eV per atom
mass density	8.46	Mg/m³